Entry 1:
Entry from Materials Project: a geometry-optimized Nd4Si2S3O7 structure (PBE).

```
Nd4Si2S3O7
1.0
10.572 -3.086 1.314
-3.246 0.491 10.594
-6.007 -6.879 -6.294
Nd Si S O
16 8 12 28
direct
0.421 0.921 0.843
0.671 0.329 0.000
0.329 0.671 0.000
0.079 0.579 0.157
0.329 0.329 0.657
0.079 0.921 0.500
0.421 0.579 0.500
0.671 0.671 0.343
0.032 0.795 0.763
0.032 0.269 0.237
0.205 0.968 0.237
0.019 0.282 0.737
0.545 0.282 0.263
0.718 0.981 0.263
0.718 0.455 0.737
0.731 0.968 0.763
0.278 0.402 0.124
0.278 0.153 0.876
0.598 0.722 0.876
0.903 0.528 0.376
0.152 0.528 0.624
0.472 0.097 0.624
0.472 0.848 0.376
0.847 0.722 0.124
0.500 0.500 0.000
0.250 0.750 0.500
0.750 0.250 0.500
0.000 0.000 0.000
0.875 0.976 0.601
0.726 0.625 0.601
0.024 0.125 0.399
0.375 0.274 0.399
0.875 0.274 0.899
0.024 0.625 0.899
0.726 0.125 0.101
0.375 0.976 0.101
0.771 0.771 0.000
0.521 0.021 0.500
0.979 0.479 0.500
0.229 0.229 0.000
0.200 0.973 0.773
0.200 0.428 0.227
0.027 0.800 0.227
0.178 0.450 0.727
0.723 0.450 0.273
0.550 0.822 0.273
0.550 0.277 0.727
0.572 0.800 0.773
0.299 0.059 0.521
0.538 0.778 0.479
0.941 0.701 0.479
0.528 0.549 0.740
0.809 0.788 0.260
0.451 0.472 0.260
0.212 0.191 0.740
0.222 0.462 0.521
0.451 0.191 0.979
0.212 0.472 0.021
0.809 0.549 0.021
0.222 0.701 0.760
0.941 0.462 0.240
0.299 0.778 0.240
0.538 0.059 0.760
0.528 0.788 0.979
```

Properties
The energy with MP2020 corrections comes out at -8.0569 eV per atom. Its final energy is -0.28158 hartree per atom. As for the total magnetization: 0.00 μB per atom. For the energy of formation from the pure elements, the calculation gives -3.2464 eV/atom. For the density, the calculation gives 5.423 g/cm³.

***

Entry 2:
Entry from Materials Project: a geometry-optimized Nd2Ti2S2O5 structure (PBE).

```
Nd2Ti2S2O5
1.0
-2.966 -2.474 0.207
2.197 -2.766 -1.576
3.879 -0.680 11.349
Nd Ti S O
2 2 2 5
direct
0.334 0.334 0.669
0.666 0.666 0.331
0.077 0.077 0.155
0.923 0.923 0.845
0.204 0.204 0.407
0.796 0.796 0.593
0.904 0.404 0.807
0.096 0.596 0.193
0.404 0.904 0.807
0.596 0.096 0.193
0.000 0.000 0.000
```

Properties
The energy with MP2020 corrections comes out at -8.5792 eV per atom. Its final energy is -0.30044 hartree per atom. As for the total magnetization: 0.00 μB per atom. For the energy of formation from the pure elements, the calculation gives -3.2755 eV/atom. For the density, the calculation gives 5.013 g/cm³.